# CoOF PBE with a Hubbard U relaxed
data_CoOF
_chemical_formula_sum 'Co6 O6 F6'
_symmetry_space_group_name_H-M 'P 1'
_symmetry_Int_Tables_number 1
_cell_length_a 2.944
_cell_length_b 4.604
_cell_length_c 13.615
_cell_angle_alpha 90.00
_cell_angle_beta 90.00
_cell_angle_gamma 90.00
loop_
_symmetry_equiv_pos_as_xyz
'x,y,z'
loop_
_atom_site_label
_atom_site_fract_x
_atom_site_fract_y
_atom_site_fract_z
Co1 0.000 0.148 0.000
Co2 0.000 0.273 0.666
Co3 0.000 0.292 0.337
Co4 0.500 0.708 0.837
Co5 0.500 0.727 0.166
Co6 0.500 0.852 0.500
O1 0.000 0.018 0.437
O2 0.000 0.555 0.232
O3 0.000 0.882 0.099
O4 0.500 0.118 0.599
O5 0.500 0.445 0.732
O6 0.500 0.982 0.937
F1 0.000 0.471 0.904
F2 0.000 0.645 0.564
F3 0.000 0.927 0.769
F4 0.500 0.073 0.269
F5 0.500 0.355 0.064
F6 0.500 0.529 0.404
# Total magnetization in μB per formula unit: 1.62
# E_form in meV/atom: -1597
# Symmetry: Pmn2_1